Entry 1:
The following is a GGA-PBE calculation of a relaxed structure of CeSi2Rh2, from the Materials Project database.

Computed properties:
As for the space-group type: I4/mmm, No. 139. For the energy relative to the elements, the calculation gives -1062 meV per atom. For the total energy, the calculation gives -0.2706 hartree per atom.

The structure in CIF format:
```
data_CeSi2Rh2
_space_group_name_H-M_alt 'P 1'
_space_group_IT_number 1
_space_group_name_Hall 'P 1'
_cell_length_a 5.8317
_cell_length_b 5.8317
_cell_length_c 5.8317
_cell_angle_alpha 138.85
_cell_angle_beta 138.85
_cell_angle_gamma 59.60
loop_
_atom_site_label
_atom_site_type_symbol
_atom_site_fract_x
_atom_site_fract_y
_atom_site_fract_z
_atom_site_occupancy
Ce1 Ce 0.0000 0.0000 0.0000 1
Si1 Si 0.3782 0.3782 0.0000 1
Si2 Si 0.6218 0.6218 0.0000 1
Rh1 Rh 0.2500 0.7500 0.5000 1
Rh2 Rh 0.7500 0.2500 0.5000 1
```

---

Entry 2:
The following is a GGA-PBE calculation of a relaxed structure of Ce4Si9Rh3, from the Materials Project database.

Computed properties:
As for the space-group type: Pmm2, No. 25. For the energy relative to the elements, the calculation gives -833 meV per atom. For the total energy, the calculation gives -0.2480 hartree per atom.

The structure in CIF format:
```
data_Ce4Si9Rh3
_space_group_name_H-M_alt 'P 1'
_space_group_IT_number 1
_space_group_name_Hall 'P 1'
_cell_length_a 4.1871
_cell_length_b 4.2144
_cell_length_c 16.6803
_cell_angle_alpha 90.00
_cell_angle_beta 90.00
_cell_angle_gamma 90.00
loop_
_atom_site_label
_atom_site_type_symbol
_atom_site_fract_x
_atom_site_fract_y
_atom_site_fract_z
_atom_site_occupancy
Ce1 Ce 0.0000 0.0000 0.0000 1
Ce2 Ce 0.0000 0.5000 0.4932 1
Ce3 Ce 0.5000 0.0000 0.7837 1
Ce4 Ce 0.5000 0.5000 0.2885 1
Si1 Si 0.0000 0.0000 0.3480 1
Si2 Si 0.0000 0.0000 0.6392 1
Si3 Si 0.0000 0.5000 0.1405 1
Si4 Si 0.0000 0.5000 0.8519 1
Si5 Si 0.5000 0.0000 0.1390 1
Si6 Si 0.5000 0.0000 0.4239 1
Si7 Si 0.5000 0.5000 0.0580 1
Si8 Si 0.5000 0.5000 0.6377 1
Si9 Si 0.5000 0.5000 0.9197 1
Rh1 Rh 0.0000 0.0000 0.2033 1
Rh2 Rh 0.0000 0.5000 0.7109 1
Rh3 Rh 0.5000 0.0000 0.5661 1
```

---

Entry 3:
The following is a GGA-PBE calculation of a relaxed structure of Ce4Si3Rh4, from the Materials Project database.

Computed properties:
As for the space-group type: C2/c, No. 15. For the energy relative to the elements, the calculation gives -933 meV per atom. For the total energy, the calculation gives -0.2664 hartree per atom.

The structure in CIF format:
```
data_Ce4Si3Rh4
_space_group_name_H-M_alt 'P 1'
_space_group_IT_number 1
_space_group_name_Hall 'P 1'
_cell_length_a 10.6713
_cell_length_b 10.6713
_cell_length_c 7.9045
_cell_angle_alpha 109.41
_cell_angle_beta 109.41
_cell_angle_gamma 30.58
loop_
_atom_site_label
_atom_site_type_symbol
_atom_site_fract_x
_atom_site_fract_y
_atom_site_fract_z
_atom_site_occupancy
Ce1 Ce 0.0721 0.7986 0.8298 1
Ce2 Ce 0.2014 0.9279 0.6702 1
Ce3 Ce 0.2143 0.4469 0.0982 1
Ce4 Ce 0.4469 0.2143 0.5982 1
Ce5 Ce 0.5531 0.7857 0.4018 1
Ce6 Ce 0.7857 0.5531 0.9018 1
Ce7 Ce 0.7986 0.0721 0.3298 1
Ce8 Ce 0.9279 0.2014 0.1702 1
Si1 Si 0.0558 0.2878 0.5594 1
Si2 Si 0.2878 0.0558 0.0594 1
Si3 Si 0.3572 0.6428 0.2500 1
Si4 Si 0.6428 0.3572 0.7500 1
Si5 Si 0.7122 0.9442 0.9406 1
Si6 Si 0.9442 0.7122 0.4406 1
Rh1 Rh 0.0731 0.3670 0.3173 1
Rh2 Rh 0.3034 0.5684 0.4777 1
Rh3 Rh 0.3670 0.0731 0.8173 1
Rh4 Rh 0.4316 0.6966 0.0223 1
Rh5 Rh 0.5684 0.3034 0.9777 1
Rh6 Rh 0.6330 0.9269 0.1827 1
Rh7 Rh 0.6966 0.4316 0.5223 1
Rh8 Rh 0.9269 0.6330 0.6827 1
```

---

Entry 4:
The following is a GGA-PBE calculation of a relaxed structure of CeSi2Rh3, from the Materials Project database.

Computed properties:
As for the space-group type: Imma, No. 74. For the energy relative to the elements, the calculation gives -1015 meV per atom. For the total energy, the calculation gives -0.2754 hartree per atom.

The structure in CIF format:
```
data_CeSi2Rh3
_space_group_name_H-M_alt 'P 1'
_space_group_IT_number 1
_space_group_name_Hall 'P 1'
_cell_length_a 6.6475
_cell_length_b 6.6475
_cell_length_c 6.6475
_cell_angle_alpha 114.82
_cell_angle_beta 86.44
_cell_angle_gamma 129.96
loop_
_atom_site_label
_atom_site_type_symbol
_atom_site_fract_x
_atom_site_fract_y
_atom_site_fract_z
_atom_site_occupancy
Ce1 Ce 0.4625 0.2125 0.2500 1
Ce2 Ce 0.5375 0.7875 0.7500 1
Si1 Si 0.1151 0.6937 0.4214 1
Si2 Si 0.2277 0.3063 0.9214 1
Si3 Si 0.7723 0.6937 0.0786 1
Si4 Si 0.8849 0.3063 0.5786 1
Rh1 Rh 0.0000 0.0000 0.5000 1
Rh2 Rh 0.0000 0.2142 0.2142 1
Rh3 Rh 0.0000 0.5000 0.0000 1
Rh4 Rh 0.0000 0.7858 0.7858 1
Rh5 Rh 0.5000 0.2142 0.7142 1
Rh6 Rh 0.5000 0.7858 0.2858 1
```